# 1
{
  "formula": "Sm2NbInO7",
  "functional": "PBE",
  "state": "optimized geometry",
  "energy_ev_per_fu": -87.596,
  "corrected_energy_ev_per_atom": -8.40,
  "spacegroup": "Imma (74)",
  "magmom_total_mub_per_cell": 0.0,
  "lattice_angstrom": [[-3.712, 3.824, 5.327], [3.712, -3.824, 5.327], [3.712, 3.824, -5.327]],
  "species": ["Sm", "Sm", "Sm", "Sm", "Nb", "Nb", "In", "In", "O", "O", "O", "O", "O", "O", "O", "O", "O", "O", "O", "O", "O", "O"],
  "frac_coords": [[0.000, 0.000, 0.000], [0.500, 0.000, 0.000], [0.500, 0.000, 0.500], [0.500, 0.500, 0.500], [0.000, 0.500, 0.500], [0.500, 0.500, 0.000], [0.000, 0.000, 0.500], [0.000, 0.500, 0.000], [0.099, 0.424, 0.274], [0.099, 0.825, 0.674], [0.104, 0.854, 0.250], [0.312, 0.562, 0.750], [0.349, 0.175, 0.774], [0.349, 0.576, 0.174], [0.379, 0.129, 0.250], [0.621, 0.871, 0.750], [0.651, 0.424, 0.826], [0.651, 0.825, 0.226], [0.688, 0.438, 0.250], [0.896, 0.146, 0.750], [0.901, 0.175, 0.326], [0.901, 0.576, 0.726]]
}


# 2
{
  "formula": "NbInRu",
  "functional": "PBE",
  "state": "optimized geometry",
  "energy_ev_per_fu": -21.584,
  "spacegroup": "F-43m (216)",
  "magmom_total_mub_per_cell": 2.2,
  "lattice_angstrom": [[6.262, 0.000, 0.000], [0.000, 6.262, 0.000], [0.000, 0.000, 6.262]],
  "species": ["Nb", "Nb", "Nb", "Nb", "In", "In", "In", "In", "Ru", "Ru", "Ru", "Ru"],
  "frac_coords": [[0.000, 0.000, 0.000], [0.000, 0.500, 0.500], [0.500, 0.000, 0.500], [0.500, 0.500, 0.000], [0.000, 0.000, 0.500], [0.000, 0.500, 0.000], [0.500, 0.000, 0.000], [0.500, 0.500, 0.500], [0.250, 0.250, 0.250], [0.250, 0.750, 0.750], [0.750, 0.250, 0.750], [0.750, 0.750, 0.250]]
}